Computed, not measured: crystalline Sb5IO7 at its relaxed geometry at the PBE-GGA level of DFT.

Cell lengths 7.591, 13.742, 13.427 Å; angles 90.00, 116.42, 90.00 degrees
Space group Pc (No. 7)
Unique sites:
Sb  0.000  0.005  0.500 (multiplicity 2)
Sb  0.245  0.204  0.673 (multiplicity 2)
Sb  0.488  0.024  0.074 (multiplicity 2)
Sb  0.571  0.258  0.464 (multiplicity 2)
Sb  0.603  0.258  0.975 (multiplicity 2)
Sb  0.609  0.494  0.617 (multiplicity 2)
Sb  0.687  0.491  0.384 (multiplicity 2)
Sb  0.725  0.207  0.250 (multiplicity 2)
Sb  0.783  0.242  0.772 (multiplicity 2)
Sb  0.984  0.416  0.283 (multiplicity 2)
I  0.119  0.008  0.740 (multiplicity 2)
I  0.187  0.453  0.718 (multiplicity 2)
O  0.172  0.119  0.529 (multiplicity 2)
O  0.213  0.080  0.004 (multiplicity 2)
O  0.356  0.250  0.847 (multiplicity 2)
O  0.520  0.176  0.698 (multiplicity 2)
O  0.545  0.094  0.216 (multiplicity 2)
O  0.584  0.292  0.114 (multiplicity 2)
O  0.606  0.288  0.327 (multiplicity 2)
O  0.644  0.122  0.033 (multiplicity 2)
O  0.669  0.376  0.729 (multiplicity 2)
O  0.680  0.405  0.992 (multiplicity 2)
O  0.691  0.405  0.516 (multiplicity 2)
O  0.798  0.184  0.548 (multiplicity 2)
O  0.809  0.239  0.928 (multiplicity 2)
O  0.972  0.472  0.418 (multiplicity 2)

Results
**Relative energy among the computed polymorphs**: 0.216 eV/atom
**Formation enthalpy at 0 K**: -1390.0 meV/atom
**Total magnetization**: 0.0 Bohr magnetons per cell
**Calculated total energy**: -5.39 eV per atom